# Li6V3P8O29 GGA+U optimized geometry
data_Li6V3P8O29
_cell_length_a 9.762
_cell_length_b 9.836
_cell_length_c 14.022
_cell_angle_alpha 90.02
_cell_angle_beta 90.18
_cell_angle_gamma 119.68
_symmetry_space_group_name_H-M 'P 1'
_symmetry_Int_Tables_number 1
loop_
_symmetry_equiv_pos_as_xyz
'x,y,z'
loop_
_atom_site_label
_atom_site_type_symbol
_atom_site_fract_x
_atom_site_fract_y
_atom_site_fract_z
Li1 Li 0.000 0.000 0.000
Li2 Li 0.001 0.569 0.511
Li3 Li 0.051 0.304 0.063
Li4 Li 0.080 0.297 0.580
Li5 Li 0.195 0.669 0.123
Li6 Li 0.333 0.662 0.630
Li7 Li 0.336 0.241 0.121
Li8 Li 0.430 0.432 0.510
Li9 Li 0.436 0.574 0.003
Li10 Li 0.443 0.011 0.458
Li11 Li 0.859 0.435 0.000
Li12 Li 0.866 0.004 0.507
V1 V 0.098 0.776 0.317
V2 V 0.104 0.906 0.814
V3 V 0.540 0.339 0.314
V4 V 0.543 0.779 0.816
V5 V 0.666 0.905 0.311
V6 V 0.668 0.337 0.810
P1 P 0.013 0.565 0.724
P2 P 0.017 0.028 0.220
P3 P 0.188 0.651 0.908
P4 P 0.191 0.119 0.405
P5 P 0.328 0.655 0.408
P6 P 0.329 0.253 0.904
P7 P 0.411 0.427 0.721
P8 P 0.415 0.566 0.223
P9 P 0.429 0.002 0.196
P10 P 0.436 0.004 0.697
P11 P 0.764 0.672 0.435
P12 P 0.769 0.671 0.935
P13 P 0.797 0.119 0.904
P14 P 0.797 0.252 0.405
P15 P 0.876 0.026 0.721
P16 P 0.877 0.424 0.219
O1 O 0.013 0.718 0.735
O2 O 0.016 0.592 0.228
O3 O 0.016 0.995 0.736
O4 O 0.019 0.873 0.234
O5 O 0.094 0.122 0.485
O6 O 0.098 0.557 0.636
O7 O 0.098 0.562 0.996
O8 O 0.100 0.112 0.129
O9 O 0.103 0.543 0.815
O10 O 0.119 0.141 0.307
O11 O 0.180 0.675 0.409
O12 O 0.185 0.805 0.894
O13 O 0.189 0.085 0.907
O14 O 0.205 0.968 0.396
O15 O 0.284 0.850 0.239
O16 O 0.293 0.007 0.741
O17 O 0.302 0.335 0.813
O18 O 0.308 0.550 0.315
O19 O 0.319 0.350 0.631
O20 O 0.327 0.566 0.134
O21 O 0.330 0.340 0.994
O22 O 0.334 0.570 0.496
O23 O 0.357 0.678 0.909
O24 O 0.363 0.259 0.407
O25 O 0.424 0.996 0.090
O26 O 0.426 0.150 0.236
O27 O 0.431 0.850 0.738
O28 O 0.431 0.990 0.590
O29 O 0.433 0.419 0.225
O30 O 0.435 0.594 0.728
O31 O 0.476 0.819 0.396
O32 O 0.487 0.255 0.891
O33 O 0.566 0.426 0.733
O34 O 0.574 0.717 0.235
O35 O 0.578 0.004 0.243
O36 O 0.587 0.145 0.737
O37 O 0.614 0.523 0.395
O38 O 0.615 0.666 0.891
O39 O 0.631 0.238 0.394
O40 O 0.643 0.962 0.898
O41 O 0.717 0.421 0.235
O42 O 0.721 0.871 0.732
O43 O 0.755 0.664 0.041
O44 O 0.765 0.821 0.392
O45 O 0.766 0.259 0.905
O46 O 0.766 0.676 0.541
O47 O 0.770 0.083 0.407
O48 O 0.778 0.527 0.894
O49 O 0.845 0.424 0.728
O50 O 0.850 0.000 0.227
O51 O 0.885 0.353 0.126
O52 O 0.891 0.325 0.306
O53 O 0.892 0.109 0.629
O54 O 0.894 0.143 0.806
O55 O 0.897 0.349 0.485
O56 O 0.905 0.131 0.984
O57 O 0.914 0.670 0.394
O58 O 0.914 0.826 0.900
# **Total energy after the MP2020 corrections**: -7.559 eV per atom
# **Energy relative to the elements**: -2.66 eV per atom
# **Excess energy over the best structure of this formula in the dataset**: 0.13 kcal/mol of atoms